[1]
First-principles (PBE-GGA) data for a relaxed PrInCu5 crystal, as listed in the Materials Project.

Summary:
VASP energy   -117.7 eV per cell

a = 5.100 Å, b = 8.430 Å, c = 10.612 Å
α = 90.00°, β = 90.00°, γ = 90.00°
Fractional coordinates of all 28 atoms:
Cu (0.001, 0.567, 0.811)
Cu (0.501, 0.433, 0.189)
Cu (0.750, 0.184, 0.257)
Cu (0.250, 0.418, 0.985)
Cu (0.750, 0.443, 0.393)
Cu (0.499, 0.067, 0.689)
Cu (0.250, 0.557, 0.607)
Cu (0.750, 0.582, 0.015)
Cu (0.999, 0.933, 0.311)
Cu (0.001, 0.067, 0.689)
Cu (0.999, 0.433, 0.189)
Cu (0.250, 0.918, 0.515)
Cu (0.250, 0.316, 0.757)
Cu (0.501, 0.933, 0.311)
Cu (0.250, 0.816, 0.743)
Cu (0.499, 0.567, 0.811)
Cu (0.750, 0.943, 0.107)
Cu (0.750, 0.684, 0.243)
Cu (0.250, 0.057, 0.893)
Cu (0.750, 0.082, 0.485)
In (0.750, 0.361, 0.638)
In (0.750, 0.861, 0.862)
In (0.250, 0.139, 0.138)
In (0.250, 0.639, 0.362)
Pr (0.750, 0.244, 0.940)
Pr (0.250, 0.756, 0.060)
Pr (0.750, 0.744, 0.560)
Pr (0.250, 0.256, 0.440)

***

[2]
First-principles (PBE-GGA) data for a relaxed PrIn2Cu9 crystal, as listed in the Materials Project.

Summary:
VASP energy   -97.4 eV per cell

a = 8.515 Å, b = 8.515 Å, c = 5.042 Å
α = 90.00°, β = 90.00°, γ = 90.00°
Fractional coordinates of all 24 atoms:
Cu (0.323, 0.823, 0.753)
Cu (0.000, 0.500, 0.500)
Cu (0.564, 0.707, 0.500)
Cu (0.500, 0.000, 0.500)
Cu (0.207, 0.064, 0.500)
Cu (0.323, 0.823, 0.247)
Cu (0.177, 0.323, 0.753)
Cu (0.436, 0.293, 0.500)
Cu (0.677, 0.177, 0.247)
Cu (0.936, 0.207, 0.500)
Cu (0.677, 0.177, 0.753)
Cu (0.793, 0.936, 0.500)
Cu (0.707, 0.436, 0.500)
Cu (0.823, 0.677, 0.247)
Cu (0.064, 0.793, 0.500)
Cu (0.293, 0.564, 0.500)
Cu (0.823, 0.677, 0.753)
Cu (0.177, 0.323, 0.247)
Pr (0.500, 0.500, 0.000)
Pr (0.000, 0.000, 0.000)
In (0.123, 0.623, 0.000)
In (0.377, 0.123, 0.000)
In (0.623, 0.877, 0.000)
In (0.877, 0.377, 0.000)

***

[3]
First-principles (PBE-GGA) data for a relaxed Pr2In3Cu9 crystal, as listed in the Materials Project.

Summary:
VASP energy   -229.6 eV per cell

a = 5.183 Å, b = 10.806 Å, c = 17.104 Å
α = 90.00°, β = 90.00°, γ = 90.00°
Fractional coordinates of all 56 atoms:
In (0.500, 0.203, 0.719)
In (0.500, 0.576, 0.808)
In (0.000, 0.297, 0.219)
In (0.000, 0.076, 0.692)
In (0.500, 0.424, 0.192)
In (0.000, 0.924, 0.308)
In (0.500, 0.194, 0.446)
In (0.000, 0.694, 0.054)
In (0.000, 0.306, 0.946)
In (0.000, 0.703, 0.781)
In (0.500, 0.806, 0.554)
In (0.500, 0.797, 0.281)
Pr (0.500, 0.111, 0.256)
Pr (0.000, 0.000, 0.000)
Pr (0.000, 0.000, 0.500)
Pr (0.000, 0.389, 0.756)
Pr (0.500, 0.889, 0.744)
Pr (0.500, 0.500, 0.000)
Pr (0.000, 0.611, 0.244)
Pr (0.500, 0.500, 0.500)
Cu (0.744, 0.757, 0.912)
Cu (0.744, 0.368, 0.347)
Cu (0.756, 0.132, 0.847)
Cu (0.000, 0.933, 0.834)
Cu (0.500, 0.953, 0.409)
Cu (0.244, 0.868, 0.153)
Cu (0.256, 0.757, 0.912)
Cu (0.000, 0.159, 0.352)
Cu (0.000, 0.841, 0.648)
Cu (0.256, 0.243, 0.088)
Cu (0.000, 0.690, 0.534)
Cu (0.000, 0.453, 0.091)
Cu (0.256, 0.632, 0.653)
Cu (0.500, 0.810, 0.034)
Cu (0.244, 0.743, 0.412)
Cu (0.244, 0.132, 0.847)
Cu (0.000, 0.459, 0.586)
Cu (0.756, 0.868, 0.153)
Cu (0.500, 0.433, 0.666)
Cu (0.256, 0.368, 0.347)
Cu (0.500, 0.041, 0.086)
Cu (0.000, 0.310, 0.466)
Cu (0.244, 0.257, 0.588)
Cu (0.756, 0.743, 0.412)
Cu (0.500, 0.659, 0.148)
Cu (0.756, 0.257, 0.588)
Cu (0.000, 0.541, 0.414)
Cu (0.500, 0.959, 0.914)
Cu (0.500, 0.341, 0.852)
Cu (0.000, 0.067, 0.166)
Cu (0.500, 0.567, 0.334)
Cu (0.000, 0.547, 0.909)
Cu (0.500, 0.190, 0.966)
Cu (0.744, 0.632, 0.653)
Cu (0.744, 0.243, 0.088)
Cu (0.500, 0.047, 0.591)

***

[4]
First-principles (PBE-GGA) data for a relaxed Pr4In5Cu19 crystal, as listed in the Materials Project.

Summary:
VASP energy   -116.4 eV per cell

a = 5.136 Å, b = 8.490 Å, c = 10.748 Å
α = 89.57°, β = 90.00°, γ = 90.00°
Fractional coordinates of all 28 atoms:
Cu (0.251, 0.934, 0.689)
Cu (0.500, 0.941, 0.892)
Cu (0.744, 0.056, 0.314)
Cu (0.500, 0.183, 0.742)
Cu (0.000, 0.046, 0.102)
Cu (0.748, 0.434, 0.811)
Cu (0.000, 0.815, 0.258)
Cu (0.749, 0.934, 0.689)
Cu (0.256, 0.056, 0.314)
Cu (0.000, 0.567, 0.397)
Cu (0.500, 0.684, 0.757)
Cu (0.000, 0.917, 0.486)
Cu (0.500, 0.444, 0.609)
Cu (0.252, 0.434, 0.811)
Cu (0.500, 0.581, 0.985)
Cu (0.745, 0.577, 0.187)
Cu (0.500, 0.081, 0.516)
Cu (0.000, 0.422, 0.009)
Cu (0.255, 0.577, 0.187)
Pr (0.500, 0.746, 0.444)
Pr (0.000, 0.255, 0.567)
Pr (0.500, 0.241, 0.048)
Pr (0.000, 0.756, 0.937)
In (0.000, 0.640, 0.639)
In (0.000, 0.140, 0.861)
In (0.000, 0.312, 0.242)
In (0.500, 0.863, 0.138)
In (0.500, 0.363, 0.370)

***

[5]
First-principles (PBE-GGA) data for a relaxed PrInCu crystal, as listed in the Materials Project.

Summary:
VASP energy   -38.3 eV per cell

a = 7.544 Å, b = 7.544 Å, c = 4.235 Å
α = 90.00°, β = 90.00°, γ = 120.00°
Fractional coordinates of all 9 atoms:
Pr (0.000, 0.585, 0.500)
Pr (0.415, 0.415, 0.500)
Pr (0.585, 0.000, 0.500)
In (0.755, 0.755, 0.000)
In (0.245, 0.000, 0.000)
In (0.000, 0.245, 0.000)
Cu (0.000, 0.000, 0.500)
Cu (0.667, 0.333, 0.000)
Cu (0.333, 0.667, 0.000)

***

[6]
First-principles (PBE-GGA) data for a relaxed Pr2InCu2 crystal, as listed in the Materials Project.

Summary:
VASP energy   -44.2 eV per cell

a = 7.826 Å, b = 7.826 Å, c = 3.836 Å
α = 90.00°, β = 90.00°, γ = 90.00°
Fractional coordinates of all 10 atoms:
Pr (0.825, 0.675, 0.500)
Pr (0.325, 0.825, 0.500)
Pr (0.675, 0.175, 0.500)
Pr (0.175, 0.325, 0.500)
In (0.500, 0.500, 0.000)
In (0.000, 0.000, 0.000)
Cu (0.882, 0.382, 0.000)
Cu (0.382, 0.118, 0.000)
Cu (0.118, 0.618, 0.000)
Cu (0.618, 0.882, 0.000)

***

[7]
First-principles (PBE-GGA) data for a relaxed Pr2InCuS5 crystal, as listed in the Materials Project.

Summary:
Total energy after the MP2020 corrections   -5.75 eV/atom

a = 3.930 Å, b = 11.570 Å, c = 16.796 Å
α = 90.00°, β = 90.00°, γ = 90.00°
Fractional coordinates of all 36 atoms:
Cu (0.750, 0.413, 0.502)
Cu (0.750, 0.913, 0.998)
Cu (0.250, 0.087, 0.002)
Cu (0.250, 0.587, 0.498)
S (0.250, 0.901, 0.924)
S (0.750, 0.764, 0.770)
S (0.250, 0.736, 0.270)
S (0.750, 0.012, 0.306)
S (0.750, 0.317, 0.385)
S (0.750, 0.613, 0.962)
S (0.750, 0.599, 0.424)
S (0.250, 0.183, 0.885)
S (0.250, 0.387, 0.038)
S (0.750, 0.817, 0.115)
S (0.250, 0.683, 0.615)
S (0.250, 0.988, 0.694)
S (0.250, 0.887, 0.462)
S (0.750, 0.512, 0.194)
S (0.250, 0.236, 0.230)
S (0.750, 0.099, 0.076)
S (0.250, 0.488, 0.806)
S (0.250, 0.401, 0.576)
S (0.750, 0.113, 0.538)
S (0.750, 0.264, 0.730)
In (0.250, 0.696, 0.859)
In (0.250, 0.196, 0.641)
In (0.750, 0.804, 0.359)
In (0.750, 0.304, 0.141)
Pr (0.750, 0.865, 0.593)
Pr (0.750, 0.365, 0.907)
Pr (0.750, 0.022, 0.821)
Pr (0.250, 0.978, 0.179)
Pr (0.250, 0.135, 0.407)
Pr (0.250, 0.478, 0.321)
Pr (0.750, 0.522, 0.679)
Pr (0.250, 0.635, 0.093)

***

[8]
First-principles (PBE-GGA) data for a relaxed Pr2InCuSe5 crystal, as listed in the Materials Project.

Summary:
Total energy after the MP2020 corrections   -5.26 eV/atom

a = 4.105 Å, b = 12.162 Å, c = 17.563 Å
α = 90.00°, β = 90.00°, γ = 90.00°
Fractional coordinates of all 36 atoms:
Pr (0.250, 0.021, 0.679)
Pr (0.250, 0.521, 0.821)
Pr (0.250, 0.363, 0.594)
Pr (0.750, 0.479, 0.179)
Pr (0.250, 0.863, 0.906)
Pr (0.750, 0.979, 0.321)
Pr (0.750, 0.137, 0.094)
Pr (0.750, 0.637, 0.406)
Se (0.750, 0.239, 0.269)
Se (0.750, 0.682, 0.886)
Se (0.750, 0.900, 0.578)
Se (0.250, 0.100, 0.422)
Se (0.750, 0.892, 0.036)
Se (0.250, 0.108, 0.964)
Se (0.250, 0.318, 0.114)
Se (0.250, 0.608, 0.536)
Se (0.750, 0.182, 0.614)
Se (0.750, 0.739, 0.231)
Se (0.750, 0.985, 0.806)
Se (0.250, 0.818, 0.386)
Se (0.250, 0.261, 0.769)
Se (0.750, 0.485, 0.694)
Se (0.750, 0.392, 0.464)
Se (0.250, 0.600, 0.078)
Se (0.250, 0.761, 0.731)
Se (0.250, 0.515, 0.306)
Se (0.750, 0.400, 0.922)
Se (0.250, 0.015, 0.194)
In (0.250, 0.808, 0.139)
In (0.750, 0.692, 0.639)
In (0.750, 0.192, 0.861)
In (0.250, 0.308, 0.361)
Cu (0.750, 0.080, 0.497)
Cu (0.250, 0.920, 0.503)
Cu (0.250, 0.420, 0.997)
Cu (0.750, 0.580, 0.003)

***

[9]
First-principles (PBE-GGA) data for a relaxed InCuS2 crystal, as listed in the Materials Project.

Summary:
Total energy after the MP2020 corrections   -4.44 eV/atom

a = 3.924 Å, b = 3.925 Å, c = 6.510 Å
α = 90.00°, β = 90.01°, γ = 59.99°
Fractional coordinates of all 4 atoms:
S (0.333, 0.333, 0.600)
S (0.667, 0.667, 0.157)
Cu (0.667, 0.667, 0.520)
In (0.333, 0.333, 0.973)

***

[10]
First-principles (PBE-GGA) data for a relaxed InCuS2 crystal, as listed in the Materials Project.

Summary:
Largest piezoelectric modulus   4.02 C/m2
Total energy after the MP2020 corrections   -4.51 eV/atom

a = 6.860 Å, b = 6.860 Å, c = 6.860 Å
α = 132.16°, β = 132.16°, γ = 69.98°
Fractional coordinates of all 8 atoms:
Cu (0.750, 0.250, 0.500)
Cu (0.000, 0.000, 0.000)
In (0.500, 0.500, 0.000)
In (0.250, 0.750, 0.500)
S (0.655, 0.125, 0.030)
S (0.095, 0.625, 0.970)
S (0.375, 0.345, 0.470)
S (0.875, 0.905, 0.530)

***

[11]
First-principles (PBE-GGA) data for a relaxed In2CuS4 crystal, as listed in the Materials Project.

Summary:
Total energy after the MP2020 corrections   -4.42 eV/atom

a = 7.498 Å, b = 7.498 Å, c = 7.498 Å
α = 60.00°, β = 60.00°, γ = 60.00°
Fractional coordinates of all 14 atoms:
S (0.876, 0.371, 0.876)
S (0.876, 0.876, 0.876)
S (0.374, 0.879, 0.374)
S (0.371, 0.876, 0.876)
S (0.374, 0.374, 0.374)
S (0.879, 0.374, 0.374)
S (0.374, 0.374, 0.879)
S (0.876, 0.876, 0.371)
In (0.125, 0.125, 0.625)
In (0.125, 0.625, 0.125)
In (0.125, 0.125, 0.125)
In (0.625, 0.125, 0.125)
Cu (0.500, 0.500, 0.500)
Cu (0.750, 0.750, 0.750)

***

[12]
First-principles (PBE-GGA) data for a relaxed InCuS2 crystal, as listed in the Materials Project.

Summary:
Total energy after the MP2020 corrections   -4.43 eV/atom

a = 6.552 Å, b = 6.552 Å, c = 6.552 Å
α = 34.45°, β = 34.45°, γ = 34.45°
Fractional coordinates of all 4 atoms:
Cu (0.136, 0.136, 0.136)
S (0.760, 0.760, 0.760)
S (0.261, 0.261, 0.261)
In (0.996, 0.996, 0.996)

***

[13]
First-principles (PBE-GGA) data for a relaxed InCuSeS crystal, as listed in the Materials Project.

Summary:
Total energy after the MP2020 corrections   -4.20 eV/atom

a = 7.016 Å, b = 7.016 Å, c = 7.016 Å
α = 132.06°, β = 131.83°, γ = 70.32°
Fractional coordinates of all 8 atoms:
In (0.120, 0.870, 0.250)
In (0.380, 0.630, 0.750)
Cu (0.614, 0.364, 0.250)
Cu (0.886, 0.136, 0.750)
S (0.750, 0.471, 0.721)
S (0.250, 0.029, 0.779)
Se (0.534, 0.750, 0.284)
Se (0.966, 0.250, 0.216)

***

[14]
First-principles (PBE-GGA) data for a relaxed Sm2InCuS5 crystal, as listed in the Materials Project.

Summary:
Total energy after the MP2020 corrections   -5.73 eV/atom

a = 3.869 Å, b = 11.509 Å, c = 16.620 Å
α = 90.00°, β = 90.00°, γ = 90.00°
Fractional coordinates of all 36 atoms:
S (0.750, 0.816, 0.112)
S (0.250, 0.404, 0.580)
S (0.750, 0.316, 0.388)
S (0.250, 0.391, 0.035)
S (0.750, 0.259, 0.732)
S (0.750, 0.609, 0.965)
S (0.250, 0.904, 0.920)
S (0.750, 0.759, 0.768)
S (0.250, 0.486, 0.805)
S (0.750, 0.596, 0.420)
S (0.750, 0.109, 0.535)
S (0.250, 0.741, 0.268)
S (0.250, 0.986, 0.695)
S (0.750, 0.096, 0.080)
S (0.250, 0.241, 0.232)
S (0.250, 0.184, 0.888)
S (0.750, 0.014, 0.305)
S (0.750, 0.514, 0.195)
S (0.250, 0.684, 0.612)
S (0.250, 0.891, 0.465)
Sm (0.250, 0.634, 0.096)
Sm (0.750, 0.026, 0.820)
Sm (0.750, 0.866, 0.596)
Sm (0.250, 0.474, 0.320)
Sm (0.750, 0.526, 0.680)
Sm (0.250, 0.974, 0.180)
Sm (0.750, 0.366, 0.904)
Sm (0.250, 0.134, 0.404)
Cu (0.250, 0.082, 0.004)
Cu (0.750, 0.418, 0.504)
Cu (0.750, 0.918, 0.996)
Cu (0.250, 0.582, 0.496)
In (0.750, 0.805, 0.361)
In (0.750, 0.305, 0.139)
In (0.250, 0.195, 0.639)
In (0.250, 0.695, 0.861)